Entry 1:
Entry from the Materials Project: a geometry-optimized Lu7Te2Pd2 structure (r²SCAN).

a b c (Å): 9.165 9.165 9.165
angles (deg): 155.59 67.89 117.76
Element x y z (fractional)
Lu (0.000, 0.000, 0.000)
Lu (0.061, 0.377, 0.684)
Lu (0.091, 0.734, 0.357)
Lu (0.377, 0.734, 0.643)
Lu (0.456, 0.587, 0.869)
Lu (0.693, 0.377, 0.316)
Lu (0.718, 0.587, 0.131)
Te (0.342, 0.342, 0.000)
Te (0.737, 0.237, 0.500)
Pd (0.307, 0.071, 0.237)
Pd (0.834, 0.071, 0.763)

Calculated values
Total DFT energy (no corrections) in eV for the cell shown: -373.520
Space-group type: Imm2, No. 44
Calculated volume in A^3/atom: 25.38

***

Entry 2:
Entry from the Materials Project: a geometry-optimized Be17Nb2 structure (r²SCAN).

a b c (Å): 5.567 5.567 5.567
angles (deg): 83.05 83.05 83.05
Element x y z (fractional)
Be (0.000, 0.000, 0.500)
Be (0.000, 0.295, 0.705)
Be (0.000, 0.500, 0.000)
Be (0.000, 0.705, 0.295)
Be (0.099, 0.099, 0.099)
Be (0.161, 0.653, 0.653)
Be (0.295, 0.000, 0.705)
Be (0.295, 0.705, 0.000)
Be (0.347, 0.347, 0.839)
Be (0.347, 0.839, 0.347)
Be (0.500, 0.000, 0.000)
Be (0.653, 0.161, 0.653)
Be (0.653, 0.653, 0.161)
Be (0.705, 0.000, 0.295)
Be (0.705, 0.295, 0.000)
Be (0.839, 0.347, 0.347)
Be (0.901, 0.901, 0.901)
Nb (0.340, 0.340, 0.340)
Nb (0.660, 0.660, 0.660)

Calculated values
Total DFT energy (no corrections) in eV for the cell shown: -127.229
Space-group type: R-3m, No. 166
Calculated volume in A^3/atom: 8.89

***

Entry 3:
Entry from the Materials Project: a geometry-optimized MnAl24Cr structure (r²SCAN).

a b c (Å): 6.433 6.433 10.511
angles (deg): 90.14 90.14 70.41
Element x y z (fractional)
Mn (0.000, 0.000, 0.000)
Al (0.033, 0.663, 0.152)
Al (0.060, 0.060, 0.244)
Al (0.102, 0.712, 0.407)
Al (0.163, 0.534, 0.653)
Al (0.212, 0.603, 0.908)
Al (0.245, 0.245, 0.060)
Al (0.255, 0.255, 0.440)
Al (0.288, 0.898, 0.593)
Al (0.337, 0.967, 0.848)
Al (0.397, 0.788, 0.092)
Al (0.441, 0.441, 0.254)
Al (0.466, 0.837, 0.347)
Al (0.534, 0.163, 0.653)
Al (0.559, 0.559, 0.746)
Al (0.603, 0.212, 0.908)
Al (0.663, 0.033, 0.152)
Al (0.712, 0.102, 0.407)
Al (0.745, 0.745, 0.560)
Al (0.755, 0.755, 0.940)
Al (0.788, 0.397, 0.092)
Al (0.837, 0.466, 0.347)
Al (0.898, 0.288, 0.593)
Al (0.940, 0.940, 0.756)
Al (0.967, 0.337, 0.848)
Cr (0.500, 0.500, 0.500)

Calculated values
Total DFT energy (no corrections) in eV for the cell shown: -192.960
Space-group type: C2/m, No. 12
Calculated volume in A^3/atom: 15.76

***

Entry 4:
Entry from the Materials Project: a geometry-optimized UCdO4 structure (r²SCAN).

a b c (Å): 4.939 4.939 3.521
angles (deg): 90.00 90.00 91.69
Element x y z (fractional)
U (0.000, 0.000, 0.000)
Cd (0.500, 0.500, 0.500)
O (0.179, 0.821, 0.500)
O (0.283, 0.283, 0.000)
O (0.717, 0.717, 0.000)
O (0.821, 0.179, 0.500)

Calculated values
Total DFT energy (no corrections) in eV for the cell shown: -140.117
Space-group type: Cmmm, No. 65
Calculated volume in A^3/atom: 14.31

***

Entry 5:
Entry from the Materials Project: a geometry-optimized Ni2Mo structure (r²SCAN).

a b c (Å): 4.426 4.426 4.426
angles (deg): 145.83 131.55 60.62
Element x y z (fractional)
Ni (0.170, 0.170, 0.000)
Ni (0.830, 0.830, 0.000)
Mo (0.500, 0.500, 0.000)

Calculated values
Total DFT energy (no corrections) in eV for the cell shown: -50.153
Space-group type: Immm, No. 71
Calculated volume in A^3/atom: 12.03

***

Entry 6:
Entry from the Materials Project: a geometry-optimized La3Ti2N3O4 structure (r²SCAN).

a b c (Å): 10.713 10.713 10.713
angles (deg): 159.15 158.55 30.09
Element x y z (fractional)
La (0.000, 0.000, 0.000)
La (0.182, 0.182, 0.000)
La (0.818, 0.818, 0.000)
Ti (0.407, 0.407, 0.000)
Ti (0.593, 0.593, 0.000)
N (0.101, 0.601, 0.500)
N (0.500, 0.500, 0.000)
N (0.899, 0.399, 0.500)
O (0.296, 0.296, 0.000)
O (0.397, 0.897, 0.500)
O (0.603, 0.103, 0.500)
O (0.704, 0.704, 0.000)

Calculated values
Total DFT energy (no corrections) in eV for the cell shown: -199.931
Space-group type: Immm, No. 71
Calculated volume in A^3/atom: 13.33

***

Entry 7:
Entry from the Materials Project: a geometry-optimized BeH12N4Cl2 structure (r²SCAN).

a b c (Å): 9.452 11.828 6.662
angles (deg): 90.00 90.00 90.00
Element x y z (fractional)
Be (0.246, 0.074, 0.000)
Be (0.254, 0.574, 0.500)
Be (0.746, 0.426, 0.000)
Be (0.754, 0.926, 0.500)
H (0.009, 0.018, 0.986)
H (0.026, 0.139, 0.103)
H (0.035, 0.134, 0.856)
H (0.070, 0.639, 0.308)
H (0.086, 0.654, 0.713)
H (0.139, 0.400, 0.457)
H (0.172, 0.555, 0.177)
H (0.192, 0.417, 0.690)
H (0.195, 0.885, 0.013)
H (0.219, 0.740, 0.662)
H (0.221, 0.686, 0.217)
H (0.242, 0.641, 0.827)
H (0.258, 0.141, 0.327)
H (0.279, 0.186, 0.717)
H (0.281, 0.240, 0.162)
H (0.305, 0.385, 0.513)
H (0.308, 0.917, 0.190)
H (0.328, 0.055, 0.677)
H (0.361, 0.900, 0.957)
H (0.414, 0.154, 0.213)
H (0.430, 0.139, 0.808)
H (0.465, 0.634, 0.356)
H (0.474, 0.639, 0.603)
H (0.491, 0.518, 0.486)
H (0.509, 0.482, 0.986)
H (0.526, 0.361, 0.103)
H (0.535, 0.366, 0.856)
H (0.570, 0.861, 0.308)
H (0.586, 0.846, 0.713)
H (0.639, 0.100, 0.457)
H (0.672, 0.945, 0.177)
H (0.692, 0.083, 0.690)
H (0.695, 0.615, 0.013)
H (0.719, 0.760, 0.662)
H (0.721, 0.814, 0.217)
H (0.742, 0.859, 0.827)
H (0.758, 0.359, 0.327)
H (0.779, 0.314, 0.717)
H (0.781, 0.260, 0.162)
H (0.805, 0.115, 0.513)
H (0.808, 0.583, 0.190)
H (0.828, 0.445, 0.677)
H (0.861, 0.600, 0.957)
H (0.914, 0.346, 0.213)
H (0.930, 0.361, 0.808)
H (0.965, 0.866, 0.356)
H (0.974, 0.861, 0.603)
H (0.991, 0.982, 0.486)
N (0.063, 0.093, 0.985)
N (0.173, 0.618, 0.282)
N (0.193, 0.658, 0.693)
N (0.218, 0.433, 0.542)
N (0.282, 0.933, 0.042)
N (0.307, 0.158, 0.193)
N (0.327, 0.118, 0.782)
N (0.437, 0.593, 0.485)
N (0.563, 0.407, 0.985)
N (0.673, 0.882, 0.282)
N (0.693, 0.842, 0.693)
N (0.718, 0.067, 0.542)
N (0.782, 0.567, 0.042)
N (0.807, 0.342, 0.193)
N (0.827, 0.382, 0.782)
N (0.937, 0.907, 0.485)
Cl (0.032, 0.180, 0.500)
Cl (0.146, 0.386, 0.018)
Cl (0.354, 0.886, 0.518)
Cl (0.468, 0.680, 0.000)
Cl (0.532, 0.320, 0.500)
Cl (0.646, 0.114, 0.018)
Cl (0.854, 0.614, 0.518)
Cl (0.968, 0.820, 0.000)

Calculated values
Total DFT energy (no corrections) in eV for the cell shown: -431.321
Space-group type: Pna2_1, No. 33
Calculated volume in A^3/atom: 9.80

***

Entry 8:
Entry from the Materials Project: a geometry-optimized BaEr2S4 structure (r²SCAN).

a b c (Å): 12.240 4.008 14.431
angles (deg): 90.00 90.00 90.00
Element x y z (fractional)
Ba (0.242, 0.250, 0.162)
Ba (0.258, 0.750, 0.662)
Ba (0.742, 0.250, 0.338)
Ba (0.758, 0.750, 0.838)
Er (0.066, 0.250, 0.391)
Er (0.079, 0.250, 0.899)
Er (0.421, 0.750, 0.399)
Er (0.434, 0.750, 0.891)
Er (0.566, 0.250, 0.109)
Er (0.579, 0.250, 0.601)
Er (0.921, 0.750, 0.101)
Er (0.934, 0.750, 0.609)
S (0.023, 0.750, 0.783)
S (0.080, 0.250, 0.576)
S (0.122, 0.750, 0.023)
S (0.207, 0.750, 0.340)
S (0.293, 0.250, 0.840)
S (0.378, 0.250, 0.523)
S (0.420, 0.750, 0.076)
S (0.477, 0.250, 0.283)
S (0.523, 0.750, 0.717)
S (0.580, 0.250, 0.924)
S (0.622, 0.750, 0.477)
S (0.707, 0.750, 0.160)
S (0.793, 0.250, 0.660)
S (0.878, 0.250, 0.977)
S (0.920, 0.750, 0.424)
S (0.977, 0.250, 0.217)

Calculated values
Total DFT energy (no corrections) in eV for the cell shown: -574.315
Space-group type: Pnma, No. 62
Calculated volume in A^3/atom: 25.28

***

Q: Which of these has the highest calculated volume?
A: Lu7Te2Pd2

***

Q: Number 4 is which compound?
A: UCdO4